Material: Ho2NiRu
Method: DFT, PBE
State: optimized geometry Values from VASP.

Energy relative to the elements   -0.422 eV per atom
Symmetry   Fm-3m (225)

The structure in Quantum ESPRESSO input format:
```
&SYSTEM
  ibrav = 0, nat = 4, ntyp = 3
/
ATOMIC_SPECIES
Ho 164.93 Ho.upf
Ni 58.69 Ni.upf
Ru 101.07 Ru.upf
ATOMIC_POSITIONS crystal
Ho 0.2500 0.2500 0.2500
Ho 0.7500 0.7500 0.7500
Ni 0.5000 0.5000 0.5000
Ru 0.0000 0.0000 0.0000
CELL_PARAMETERS angstrom
0.0000 3.3763 3.3763
3.3763 0.0000 3.3763
3.3763 3.3763 0.0000
```